1.
VASP calculation (meta-GGA r2SCAN) on an optimized crystal structure of SnP2Cl10O2.

Structure (POSCAR):
```
SnP2Cl10O2
1.0
8.072 0.000 0.000
0.000 14.308 0.000
0.000 0.000 14.492
O Cl P Sn
8 40 8 4
Direct
0.500 0.192 0.802
0.000 0.692 0.698
0.500 0.808 0.198
0.500 0.615 0.251
0.000 0.308 0.302
0.000 0.115 0.249
0.500 0.385 0.749
0.000 0.885 0.751
0.695 0.973 0.158
0.305 0.374 0.917
0.000 0.642 0.508
0.790 0.262 0.684
0.805 0.874 0.583
0.000 0.947 0.352
0.000 0.358 0.492
0.290 0.238 0.184
0.210 0.738 0.316
0.195 0.473 0.342
0.305 0.626 0.083
0.290 0.762 0.816
0.000 0.603 0.906
0.790 0.738 0.316
0.710 0.238 0.184
0.805 0.126 0.417
0.805 0.473 0.342
0.000 0.853 0.973
0.500 0.897 0.406
0.305 0.027 0.842
0.805 0.527 0.658
0.710 0.762 0.816
0.695 0.374 0.917
0.195 0.874 0.583
0.195 0.126 0.417
0.210 0.262 0.684
0.000 0.397 0.094
0.500 0.353 0.527
0.500 0.103 0.594
0.000 0.053 0.648
0.500 0.142 0.992
0.195 0.527 0.658
0.500 0.858 0.008
0.305 0.973 0.158
0.695 0.626 0.083
0.695 0.027 0.842
0.500 0.447 0.148
0.500 0.647 0.473
0.000 0.147 0.027
0.500 0.553 0.852
0.000 0.608 0.640
0.500 0.415 0.847
0.000 0.392 0.360
0.000 0.085 0.347
0.500 0.892 0.140
0.000 0.915 0.653
0.500 0.585 0.153
0.500 0.108 0.860
0.500 0.744 0.340
0.000 0.756 0.840
0.500 0.256 0.660
0.000 0.244 0.160
```

Properties
Energy relative to the elements (meV per atom): -1143
Magnetic moment (μB per atom): 0.0000
VASP energy (eV/atom): -8.8913


2.
VASP calculation (meta-GGA r2SCAN) on an optimized crystal structure of CsEuF3.

Structure (POSCAR):
```
CsEuF3
1.0
4.770 0.000 0.000
0.000 4.770 0.000
0.000 0.000 4.770
Cs F Eu
1 3 1
Direct
0.000 0.000 0.000
0.000 0.500 0.500
0.500 0.000 0.500
0.500 0.500 0.000
0.500 0.500 0.500
```

Properties
Energy relative to the elements (meV per atom): -3574
Magnetic moment (μB per atom): 1.3995
VASP energy (eV/atom): -18.1751


3.
VASP calculation (meta-GGA r2SCAN) on an optimized crystal structure of NiPt.

Structure (POSCAR):
```
NiPt
1.0
-0.507 -1.625 -3.148
-0.496 -3.344 1.806
-3.761 0.692 0.248
Ni Pt
2 2
Direct
0.500 0.000 0.500
0.500 0.500 0.000
0.000 0.500 0.500
0.000 0.000 0.000
```

Properties
Energy relative to the elements (meV per atom): -136
Magnetic moment (μB per atom): 0.6464
VASP energy (eV/atom): -31.8706


4.
VASP calculation (meta-GGA r2SCAN) on an optimized crystal structure of TbAl6Cu6.

Structure (POSCAR):
```
TbAl6Cu6
1.0
-2.492 4.280 4.345
2.492 -4.280 4.345
2.492 4.280 -4.345
Al Tb Cu
6 1 6
Direct
0.203 0.703 0.500
0.797 0.297 0.500
0.346 0.000 0.346
0.651 0.651 0.000
0.654 0.000 0.654
0.349 0.349 0.000
0.000 0.000 0.000
0.000 0.500 0.000
0.500 0.500 0.500
0.500 0.000 0.000
0.000 0.000 0.500
0.230 0.500 0.730
0.770 0.500 0.270
```

Properties
Energy relative to the elements (meV per atom): -393
Magnetic moment (μB per atom): 0.0000
VASP energy (eV/atom): -10.9085


Table of density (Mg/m³), in record order: 2.3; 5.2; 16.0; 6.3